No. 1
The following is a DFT calculation (PBE+U) of crystalline FeOF at its relaxed geometry.

```
36
Lattice="9.457 0.000 0.000 0.000 3.098 0.000 -0.056 0.000 14.198" Properties=species:S:1:pos:R:3 pbc="T T T"
Fe 0.000 0.000 0.000
Fe 0.001 0.000 4.790
Fe 2.016 1.549 11.794
Fe 2.275 1.549 6.939
Fe 2.613 1.549 2.364
Fe 4.568 0.000 4.814
Fe 4.668 0.000 0.114
Fe 4.801 0.000 9.454
Fe 6.975 1.549 11.626
Fe 7.061 1.549 2.090
Fe 7.074 1.549 7.394
Fe 9.298 0.000 9.590
O 0.857 1.549 13.322
O 1.339 0.000 6.098
O 1.374 0.000 10.839
O 3.280 0.000 3.332
O 3.744 1.549 0.825
O 3.811 1.549 5.744
O 5.503 1.549 8.502
O 6.049 0.000 10.928
O 6.112 0.000 1.441
O 8.034 0.000 7.989
O 8.437 1.549 10.391
O 8.568 1.549 0.965
F 0.826 1.549 3.782
F 0.911 1.549 8.478
F 1.432 0.000 1.576
F 3.120 0.000 8.037
F 3.288 0.000 12.675
F 3.709 1.549 10.361
F 5.594 1.549 13.250
F 5.691 1.549 3.873
F 6.223 0.000 6.125
F 7.866 0.000 12.773
F 8.019 0.000 3.385
F 8.466 1.549 5.606
```

For the uncorrected energy, the calculation gives -6.008 eV per atom. As for the formation energy: -6.10 eV/f.u. The space-group type is Pm.

No. 2
The following is a DFT calculation (PBE+U) of crystalline MgFe4Hg2O8 at its relaxed geometry.

```
15
Lattice="3.044 1.757 5.807 -3.044 1.757 5.807 0.000 -3.515 5.807" Properties=species:S:1:pos:R:3 pbc="T T T"
Mg 0.000 0.000 0.000
Fe -1.522 -0.879 5.807
Fe -1.522 0.879 11.613
Fe 0.000 1.757 5.807
Fe 0.000 0.000 8.710
Hg 0.000 0.000 2.718
Hg 0.000 0.000 14.701
O 0.000 -1.674 6.964
O -1.450 0.837 6.964
O 0.000 0.000 4.840
O -1.450 -0.837 10.455
O 1.450 0.837 6.964
O 0.000 0.000 12.579
O 1.450 -0.837 10.455
O 0.000 1.674 10.455
```

For the uncorrected energy, the calculation gives -5.473 eV per atom. As for the formation energy: -20.94 eV/f.u. The space-group type is R-3m.

No. 3
The following is a DFT calculation (PBE+U) of crystalline Mn12O7F17 at its relaxed geometry.

```
36
Lattice="4.832 0.000 0.000 0.215 5.820 0.000 0.247 0.166 15.756" Properties=species:S:1:pos:R:3 pbc="T T T"
Mn 0.000 0.000 0.000
Mn 0.301 5.748 5.385
Mn 0.389 2.008 8.025
Mn 2.592 4.647 7.885
Mn 2.635 3.057 10.584
Mn 2.612 4.632 2.637
Mn 2.634 2.887 5.310
Mn 2.632 2.732 0.101
Mn 2.930 4.798 13.152
Mn 4.820 1.911 13.156
Mn 4.714 1.830 2.781
Mn 5.048 5.874 10.649
O 1.643 4.334 6.237
O 1.685 3.263 8.903
O 3.542 3.016 1.827
O 3.715 3.301 12.197
O 3.808 1.598 4.457
O 3.887 0.294 12.385
O 4.096 1.662 14.927
F 1.217 1.727 11.510
F 1.067 1.558 1.103
F 1.089 0.246 3.478
F 1.199 0.305 8.946
F 1.354 1.461 6.214
F 1.566 4.545 11.431
F 1.419 3.158 3.668
F 1.477 0.292 14.049
F 1.448 4.417 0.843
F 1.748 3.253 14.125
F 3.778 4.618 9.537
F 3.770 4.465 4.395
F 3.991 4.558 14.974
F 3.733 0.128 7.148
F 3.848 3.057 6.943
F 3.863 1.710 9.736
F 3.698 0.148 1.736
```

For the uncorrected energy, the calculation gives -6.571 eV per atom. As for the formation energy: -92.10 eV/f.u. The space-group type is P1.

No. 4
The following is a DFT calculation (PBE+U) of crystalline Mn2CuO4 at its relaxed geometry.

```
14
Lattice="-3.050 3.050 4.110 3.050 -3.050 4.110 3.050 3.050 -4.110" Properties=species:S:1:pos:R:3 pbc="T T T"
Mn 0.000 0.000 0.000
Mn 1.525 1.525 -2.055
Mn 1.525 -1.525 2.055
Mn 0.000 3.050 0.000
Cu 3.050 1.525 1.028
Cu 0.000 1.525 3.083
O 3.050 2.922 -2.159
O 1.396 1.525 -0.103
O 1.654 -1.525 4.007
O 3.050 -0.129 2.159
O 0.000 3.179 1.952
O 1.396 4.576 0.103
O 1.654 1.525 4.214
O 0.000 0.129 6.269
```

For the uncorrected energy, the calculation gives -6.818 eV per atom. As for the formation energy: -11.60 eV/f.u. The space-group type is I4_1/amd.

No. 5
The following is a DFT calculation (PBE+U) of crystalline WF5 at its relaxed geometry.

```
12
Lattice="1.800 -5.520 0.000 1.800 5.520 0.000 0.000 0.000 8.556" Properties=species:S:1:pos:R:3 pbc="T T T"
W 0.000 0.000 0.000
W 0.000 0.000 4.278
F 1.800 5.281 6.417
F 1.800 3.760 0.734
F 1.800 3.760 3.544
F 1.800 0.842 0.726
F 1.800 0.842 3.552
F 1.800 -0.842 5.004
F 1.800 -0.842 7.830
F 1.800 -3.760 5.012
F 1.800 -3.760 7.823
F 1.800 -5.281 2.139
```

For the uncorrected energy, the calculation gives -5.142 eV per atom. As for the formation energy: -15.07 eV/f.u. The space-group type is Cmcm.

No. 6
The following is a DFT calculation (PBE+U) of crystalline Li4Co5P6O22 at its relaxed geometry.

```
74
Lattice="12.652 0.000 0.000 0.000 6.554 0.000 -2.487 0.000 10.298" Properties=species:S:1:pos:R:3 pbc="T T T"
Li 1.750 0.227 1.237
Li 0.507 3.050 6.386
Li 2.878 4.139 4.502
Li 1.635 5.692 9.652
Li 8.531 0.862 0.647
Li 7.288 2.415 5.796
Li 9.659 3.504 3.912
Li 8.416 6.327 9.061
Co 0.279 0.074 7.155
Co 1.522 3.203 2.006
Co 2.853 1.586 7.390
Co 4.096 1.691 2.241
Co 5.083 0.000 5.149
Co 6.326 3.277 0.000
Co 6.070 4.863 8.058
Co 7.313 4.968 2.909
Co 8.644 3.351 8.293
Co 9.887 6.480 3.144
P -1.273 4.762 9.473
P -0.030 5.069 4.324
P 1.914 0.644 4.422
P 0.671 2.633 9.571
P 3.417 4.815 7.431
P 4.661 5.016 2.282
P 5.505 1.538 8.016
P 6.748 1.739 2.867
P 9.495 3.921 0.727
P 8.252 5.910 5.877
P 10.196 1.485 5.974
P 11.439 1.792 0.825
O -1.069 1.548 6.590
O 0.174 1.729 1.441
O 1.234 4.788 0.720
O -0.009 5.043 5.869
O -0.677 3.320 8.984
O 0.567 6.511 3.835
O 0.937 3.991 3.812
O -0.306 5.840 8.961
O 1.497 1.333 5.741
O 2.741 1.944 0.592
O 1.076 1.627 8.482
O 2.319 1.650 3.333
O 1.715 3.711 9.781
O 2.958 6.120 4.632
O 2.630 3.612 6.850
O 3.685 3.821 2.526
O 2.442 6.010 7.675
O 3.873 6.219 1.701
O 5.892 4.737 1.356
O 4.649 5.094 6.505
O 4.165 4.559 8.789
O 5.408 5.272 3.639
O 4.758 1.282 6.659
O 6.001 1.995 1.510
O 5.517 1.460 3.793
O 4.274 1.817 8.942
O 6.293 0.335 8.597
O 7.724 0.544 2.623
O 6.481 2.733 7.773
O 7.536 2.942 3.448
O 7.208 0.434 5.666
O 8.451 2.843 0.517
O 7.847 4.904 6.966
O 9.090 4.927 1.817
O 7.425 4.610 9.706
O 8.669 5.221 4.557
O 10.472 0.714 1.337
O 9.229 2.563 6.486
O 9.599 0.043 6.463
O 10.842 3.234 1.314
O 10.175 1.511 4.429
O 8.932 1.766 9.578
O 9.992 4.825 8.857
O 11.235 5.006 3.708
```

For the uncorrected energy, the calculation gives -6.703 eV per atom. As for the formation energy: -86.79 eV/f.u. The space-group type is P2_1/c.

No. 7
The following is a DFT calculation (PBE+U) of crystalline EuMoO4 at its relaxed geometry.

```
12
Lattice="-2.709 2.709 5.959 2.709 -2.709 5.959 2.709 2.709 -5.959" Properties=species:S:1:pos:R:3 pbc="T T T"
Eu 0.000 1.354 1.490
Eu 2.709 1.354 4.469
Mo 2.709 1.354 -1.490
Mo 0.000 1.354 7.449
O 1.375 0.593 -0.510
O 1.948 -0.020 2.470
O 1.948 2.688 -2.470
O 1.334 -0.593 5.450
O 1.375 3.302 0.510
O 0.761 0.020 8.429
O 0.761 2.729 3.489
O 1.334 2.115 6.469
```

For the uncorrected energy, the calculation gives -8.482 eV per atom. As for the formation energy: -15.95 eV/f.u. The space-group type is I4_1/a.

No. 8
The following is a DFT calculation (PBE+U) of crystalline Ta2Mn2O7 at its relaxed geometry.

```
22
Lattice="0.000 5.183 5.183 5.183 0.000 5.183 5.183 5.183 0.000" Properties=species:S:1:pos:R:3 pbc="T T T"
Ta 0.000 0.000 0.000
Ta 2.591 2.591 0.000
Ta 2.591 0.000 2.591
Ta 0.000 2.591 2.591
Mn 5.183 2.591 2.591
Mn 2.591 5.183 2.591
Mn 2.591 2.591 5.183
Mn 5.183 5.183 5.183
O 3.887 3.887 0.741
O 3.887 0.741 3.887
O 7.034 3.887 3.887
O 6.479 6.479 3.332
O 6.479 3.332 6.479
O 9.625 6.479 6.479
O 3.887 3.887 3.887
O 6.479 6.479 6.479
O 0.741 3.887 3.887
O 3.887 7.034 3.887
O 3.887 3.887 7.034
O 3.332 6.479 6.479
O 6.479 9.625 6.479
O 6.479 6.479 9.625
```

For the uncorrected energy, the calculation gives -9.060 eV per atom. As for the formation energy: -31.13 eV/f.u. The space-group type is Fd-3m.

Repeat the seventh record exactly.
The following is a DFT calculation (PBE+U) of crystalline EuMoO4 at its relaxed geometry.

```
12
Lattice="-2.709 2.709 5.959 2.709 -2.709 5.959 2.709 2.709 -5.959" Properties=species:S:1:pos:R:3 pbc="T T T"
Eu 0.000 1.354 1.490
Eu 2.709 1.354 4.469
Mo 2.709 1.354 -1.490
Mo 0.000 1.354 7.449
O 1.375 0.593 -0.510
O 1.948 -0.020 2.470
O 1.948 2.688 -2.470
O 1.334 -0.593 5.450
O 1.375 3.302 0.510
O 0.761 0.020 8.429
O 0.761 2.729 3.489
O 1.334 2.115 6.469
```

For the uncorrected energy, the calculation gives -8.482 eV per atom. As for the formation energy: -15.95 eV/f.u. The space-group type is I4_1/a.